[1]
Below is crystalline FeCo3O8 at its relaxed geometry, with properties calculated at the PBE+U level.

Summary:
**Size of the total moment**: 20.00 μB per cell
**DFT formation energy**: -1.033 eV/atom

```
FeCo3O8
1.0
7.993 0.000 0.000
0.012 8.005 0.000
0.006 0.005 8.007
Fe Co O
4 12 32
Direct
0.000 0.000 0.000
0.250 0.250 0.500
0.500 0.751 0.250
0.750 0.500 0.750
0.000 0.500 0.500
0.000 0.750 0.750
0.001 0.249 0.250
0.249 0.001 0.750
0.250 0.751 0.001
0.251 0.500 0.251
0.499 0.000 0.500
0.500 0.251 0.750
0.501 0.501 0.000
0.749 0.750 0.500
0.750 0.000 0.249
0.751 0.251 0.999
0.013 0.765 0.986
0.013 0.986 0.765
0.015 0.264 0.486
0.018 0.482 0.268
0.232 0.768 0.768
0.235 0.987 0.986
0.236 0.485 0.487
0.238 0.264 0.265
0.263 0.016 0.514
0.263 0.237 0.735
0.265 0.736 0.237
0.268 0.518 0.018
0.482 0.019 0.732
0.485 0.236 0.514
0.486 0.737 0.015
0.488 0.516 0.236
0.513 0.764 0.485
0.513 0.985 0.263
0.515 0.487 0.764
0.518 0.269 0.982
0.732 0.982 0.482
0.735 0.764 0.264
0.736 0.265 0.763
0.738 0.487 0.984
0.763 0.735 0.736
0.764 0.514 0.515
0.765 0.015 0.013
0.768 0.233 0.232
0.982 0.732 0.518
0.985 0.514 0.736
0.986 0.013 0.235
0.988 0.235 0.014
```



[2]
Below is crystalline FeCoO2 at its relaxed geometry, with properties calculated at the PBE+U level.

Summary:
**Size of the total moment**: 14.00 μB per cell
**DFT formation energy**: -1.044 eV/atom

```
FeCoO2
1.0
2.973 0.000 0.000
-1.486 2.574 0.000
0.000 0.000 11.438
Fe Co O
2 2 4
Direct
0.000 0.000 0.000
0.000 0.000 0.500
0.333 0.667 0.250
0.667 0.333 0.750
0.333 0.667 0.089
0.333 0.667 0.411
0.667 0.333 0.589
0.667 0.333 0.911
```



[3]
Below is crystalline FeCo3O8 at its relaxed geometry, with properties calculated at the PBE+U level.

Summary:
**Size of the total moment**: 28.00 μB per cell
**DFT formation energy**: -1.053 eV/atom

```
FeCo3O8
1.0
8.039 0.000 0.000
0.047 8.111 0.000
0.002 0.040 8.158
Fe Co O
4 12 32
Direct
0.000 0.000 0.000
0.250 0.250 0.499
0.500 0.750 0.246
0.750 0.499 0.750
0.002 0.750 0.743
0.243 0.497 0.241
0.248 0.741 0.991
0.250 0.994 0.747
0.491 0.492 0.000
0.500 0.244 0.753
0.505 0.999 0.504
0.742 0.246 0.003
0.749 0.006 0.258
0.753 0.756 0.500
0.994 0.251 0.250
0.998 0.503 0.495
0.010 0.268 0.483
0.011 0.483 0.261
0.013 0.764 0.978
0.022 0.980 0.744
0.231 0.486 0.480
0.233 0.262 0.264
0.236 0.759 0.761
0.240 0.980 0.976
0.248 0.725 0.220
0.257 0.506 0.008
0.264 0.234 0.732
0.265 0.014 0.514
0.474 0.500 0.226
0.478 0.721 0.999
0.484 0.013 0.736
0.486 0.234 0.516
0.509 0.259 0.987
0.510 0.475 0.766
0.518 0.997 0.276
0.524 0.771 0.497
0.728 0.244 0.773
0.731 0.476 0.987
0.738 0.990 0.491
0.750 0.776 0.271
0.758 0.238 0.238
0.759 0.017 0.022
0.767 0.518 0.513
0.772 0.750 0.730
0.981 0.024 0.250
0.982 0.238 0.019
0.988 0.516 0.731
0.989 0.733 0.509
```



[4]
Below is crystalline FeCo2O6 at its relaxed geometry, with properties calculated at the PBE+U level.

Summary:
**Size of the total moment**: 6.00 μB per cell
**DFT formation energy**: -1.083 eV/atom

```
FeCo2O6
1.0
6.381 -1.444 0.000
6.381 1.444 0.000
-1.405 0.000 5.661
Fe Co O
1 2 6
Direct
0.000 0.000 0.000
0.331 0.331 0.662
0.669 0.669 0.338
0.161 0.161 0.123
0.179 0.179 0.555
0.484 0.484 0.768
0.516 0.516 0.232
0.821 0.821 0.445
0.839 0.839 0.877
```



Number 1: E_tot -276.46 eV/cell. Number 2: E_tot -48.76 eV/cell. Number 3: E_tot -277.42 eV/cell. Number 4: E_tot -52.47 eV/cell.